(1)
Compound: Fe3C10SeO10
Source: the Materials Project
Functional: PBE+U
Structure: optimized geometry

a = 10.3445 Å, b = 8.8805 Å, c = 17.7399 Å
α = 67.65°, β = 90.00°, γ = 90.00°
Fractional coordinates of all 96 atoms:
C 0.9131 0.6912 0.9783
Fe 0.1780 0.4073 0.3331
O 0.4832 0.6824 0.4562
Se 0.4292 0.1943 0.9373
C 0.2063 0.1546 0.5886
C 0.2890 0.9426 0.4987
Fe 0.8220 0.5927 0.6669
O 0.1982 0.8326 0.0599
C 0.8529 0.6506 0.7510
O 0.3446 0.5958 0.9904
O 0.1279 0.3176 0.1924
C 0.6811 0.0099 0.1477
O 0.5132 0.0465 0.3341
C 0.1471 0.3494 0.2490
C 0.0830 0.0693 0.8608
O 0.0529 0.3909 0.6743
C 0.8070 0.5251 0.5123
O 0.6982 0.1674 0.4401
O 0.6279 0.6824 0.3076
C 0.7937 0.8454 0.4114
C 0.5830 0.9307 0.6392
O 0.0168 0.6824 0.9562
O 0.9471 0.6091 0.3257
C 0.6930 0.5251 0.0123
C 0.2110 0.9426 0.9987
O 0.8018 0.1674 0.9401
O 0.3018 0.8326 0.5599
C 0.6461 0.6719 0.6193
C 0.4623 0.5298 0.8300
O 0.6283 0.0894 0.1766
C 0.4170 0.0693 0.3608
O 0.5376 0.6248 0.6402
C 0.2937 0.1546 0.0886
O 0.8721 0.6824 0.8076
C 0.7110 0.0574 0.5013
O 0.1759 0.0730 0.6542
O 0.4624 0.3752 0.3598
O 0.9868 0.0465 0.8341
O 0.1715 0.6977 0.7366
Fe 0.2463 0.2879 0.9876
C 0.5869 0.6912 0.4783
Fe 0.7664 0.8972 0.0983
C 0.7890 0.0574 0.0013
O 0.3241 0.0730 0.1542
O 0.8717 0.0894 0.6766
C 0.3539 0.3281 0.3807
O 0.0132 0.9535 0.1659
O 0.4868 0.9535 0.6659
C 0.1461 0.3281 0.8807
C 0.1811 0.9901 0.3523
O 0.5168 0.3176 0.5438
Fe 0.3220 0.4073 0.8331
O 0.9832 0.3176 0.0438
C 0.9623 0.4702 0.6700
O 0.5529 0.6091 0.8257
Fe 0.2336 0.1028 0.9017
C 0.0869 0.3088 0.0217
O 0.3285 0.6977 0.2366
C 0.3189 0.9901 0.8523
O 0.0376 0.3752 0.8598
O 0.8241 0.9270 0.3458
C 0.3070 0.4749 0.9877
C 0.7693 0.4165 0.2260
C 0.4131 0.3088 0.5217
Fe 0.6780 0.5927 0.1669
C 0.7307 0.4165 0.7260
Fe 0.2664 0.1028 0.4017
O 0.6759 0.9270 0.8458
O 0.1554 0.5958 0.4904
C 0.7063 0.8454 0.9114
C 0.2693 0.5835 0.2740
C 0.0377 0.5298 0.3300
Fe 0.7537 0.7121 0.0124
Fe 0.7336 0.8972 0.5983
Se 0.5708 0.8057 0.0627
C 0.5377 0.4702 0.1700
O 0.6554 0.4042 0.0096
O 0.3721 0.3176 0.6924
O 0.8285 0.3023 0.2634
C 0.2307 0.5835 0.7740
C 0.8189 0.0099 0.6477
C 0.6471 0.6506 0.2510
O 0.9624 0.6248 0.1402
Fe 0.7463 0.7121 0.5124
Se 0.0708 0.1943 0.4373
C 0.1930 0.4749 0.4877
O 0.3717 0.9106 0.8234
C 0.3529 0.3494 0.7490
Fe 0.2537 0.2879 0.4876
C 0.8539 0.6719 0.1193
O 0.4471 0.3909 0.1743
C 0.9170 0.9307 0.1392
Se 0.9292 0.8057 0.5627
O 0.6715 0.3023 0.7634
O 0.1283 0.9106 0.3234
O 0.8446 0.4042 0.5096

Output
As for the space-group type: No. 14. The value obtained for the total moment is 0.007 Bohr magnetons per cell. The value obtained for the energy is -7.08 eV/atom.

=====

(2)
Compound: FeH12N3F6
Source: the Materials Project
Functional: PBE+U
Structure: optimized geometry

a = 9.1352 Å, b = 9.1403 Å, c = 9.1499 Å
α = 90.00°, β = 90.00°, γ = 90.00°
Fractional coordinates of all 88 atoms:
H 0.0706 0.4289 0.9469
N 0.2505 0.2494 0.2494
H 0.9282 0.4324 0.5555
H 0.4483 0.9306 0.0736
H 0.4282 0.0676 0.4445
H 0.5517 0.4306 0.4264
N 0.5017 0.9987 0.9987
H 0.0643 0.5558 0.5730
F 0.2150 0.7677 0.0383
F 0.7103 0.2243 0.0405
Fe 0.2488 0.7485 0.2492
H 0.9341 0.0686 0.4346
H 0.0566 0.0710 0.0668
H 0.4341 0.4314 0.5654
H 0.0659 0.5686 0.0654
N 0.7505 0.2506 0.7506
H 0.1827 0.6872 0.8128
F 0.5403 0.7937 0.7240
Fe 0.7488 0.7515 0.7508
H 0.8173 0.1872 0.6872
F 0.4597 0.2937 0.7760
Fe 0.7512 0.2485 0.2508
F 0.2897 0.7243 0.4595
F 0.7850 0.2677 0.4617
F 0.7059 0.5427 0.7159
H 0.0714 0.9479 0.4293
F 0.7106 0.0395 0.2751
H 0.5659 0.9314 0.9346
F 0.2059 0.9573 0.2841
F 0.9597 0.2063 0.2240
H 0.4357 0.4442 0.0730
H 0.6862 0.3182 0.6889
N 0.4983 0.4987 0.5013
H 0.4434 0.9290 0.5668
H 0.5653 0.0639 0.5638
N 0.9983 0.0013 0.4987
F 0.2106 0.4605 0.7249
H 0.9294 0.9289 0.5531
H 0.6848 0.6848 0.3155
H 0.9483 0.5694 0.9264
H 0.3173 0.3128 0.3128
H 0.4294 0.5711 0.4469
F 0.2894 0.5395 0.2249
H 0.6879 0.1879 0.8191
F 0.2941 0.0427 0.7841
N 0.0017 0.5013 0.0013
F 0.7941 0.4573 0.2159
F 0.0403 0.7063 0.2760
N 0.7495 0.7494 0.2506
H 0.3152 0.1848 0.1845
H 0.1862 0.1818 0.3111
H 0.0718 0.9324 0.9445
F 0.9561 0.7007 0.7853
H 0.5714 0.5521 0.5707
F 0.7150 0.7323 0.9617
H 0.4347 0.5639 0.9362
H 0.9286 0.4479 0.0707
H 0.0517 0.0694 0.5736
H 0.0653 0.4361 0.4362
F 0.5439 0.2993 0.2853
H 0.9347 0.9361 0.0638
Fe 0.2512 0.2515 0.7492
F 0.2103 0.2757 0.9595
H 0.5706 0.0711 0.0531
H 0.3138 0.8182 0.8111
H 0.8138 0.6818 0.1889
H 0.8152 0.3152 0.8155
H 0.6827 0.8128 0.1872
N 0.4995 0.0003 0.4997
N 0.2495 0.7506 0.7494
F 0.2850 0.2323 0.5383
H 0.9357 0.0558 0.9270
N 0.0005 0.9997 0.9997
H 0.5566 0.4290 0.9332
F 0.7894 0.9605 0.7751
H 0.3121 0.6879 0.6809
H 0.8121 0.8121 0.3191
F 0.7897 0.7757 0.5405
F 0.0439 0.2007 0.7147
F 0.4561 0.7993 0.2147
N 0.9995 0.4997 0.5003
H 0.5718 0.5676 0.0555
H 0.9434 0.5710 0.4332
H 0.5643 0.9442 0.4270
H 0.1848 0.8152 0.6845
H 0.1879 0.3121 0.1809
H 0.4286 0.0521 0.9293
N 0.5005 0.5003 0.0003

Output
As for the space-group type: No. 19. The value obtained for the total moment is 20.000 Bohr magnetons per cell. The value obtained for the energy is -4.92 eV/atom.

=====

(3)
Compound: Li3TiNi3O8
Source: the Materials Project
Functional: PBE+U
Structure: optimized geometry

a = 5.8156 Å, b = 5.8706 Å, c = 10.0354 Å
α = 88.64°, β = 106.33°, γ = 118.96°
Fractional coordinates of all 30 atoms:
O 0.7801 0.1354 0.8723
O 0.7963 0.4121 0.1463
O 0.2038 0.5881 0.8536
O 0.7790 0.1549 0.3747
Li 0.5000 0.7500 0.7500
O 0.7797 0.6352 0.3722
O 0.2209 0.3451 0.1253
Li 0.4999 0.2499 0.2500
O 0.7962 0.9121 0.6464
Ti 0.9998 0.4998 0.5000
O 0.2200 0.3646 0.6277
Li 0.4996 0.0000 0.4998
Li 0.5004 0.4998 0.0003
O 0.7796 0.6552 0.8748
Li 0.5001 0.2500 0.7500
Ti 0.0002 0.0001 0.0000
O 0.2202 0.8647 0.1279
O 0.2293 0.1393 0.8732
O 0.2205 0.8449 0.6251
O 0.2288 0.6388 0.3731
Ni 0.9996 0.9999 0.4999
O 0.2035 0.0878 0.3536
Ni 0.0000 0.7501 0.7500
Ni 0.0000 0.2500 0.2500
O 0.7708 0.3609 0.6268
Ni 0.0001 0.2501 0.7500
Ni 0.9999 0.7499 0.2500
Ni 0.0004 0.5001 0.0000
O 0.7711 0.8611 0.1268
Li 0.5000 0.7498 0.2500

Output
The value obtained for the total moment is 2.001 Bohr magnetons per cell. The value obtained for the energy is -5.72 eV/atom.

=====

(4)
Compound: Li3V3P8O29
Source: the Materials Project
Functional: PBE+U
Structure: optimized geometry

a = 9.7547 Å, b = 9.7547 Å, c = 13.9975 Å
α = 89.41°, β = 89.41°, γ = 59.82°
Fractional coordinates of all 86 atoms:
P 0.0866 0.2288 0.1562
O 0.1864 0.4785 0.3248
P 0.3370 0.3271 0.3714
O 0.3840 0.0888 0.6737
O 0.6182 0.4644 0.8282
O 0.6574 0.0838 0.6638
O 0.7408 0.9126 0.8319
O 0.0888 0.3840 0.1737
P 0.9134 0.7712 0.8438
P 0.7712 0.9134 0.3438
P 0.6630 0.6729 0.6286
O 0.7391 0.3450 0.3356
O 0.7915 0.0082 0.2560
P 0.6946 0.2228 0.6556
P 0.3054 0.7772 0.3444
O 0.6716 0.6687 0.5230
O 0.3818 0.5356 0.1718
V 0.5628 0.4372 0.2500
P 0.2288 0.0866 0.6562
O 0.4644 0.6182 0.3282
P 0.3092 0.9118 0.8405
O 0.2028 0.7972 0.2500
V 0.9935 0.4375 0.7443
O 0.3450 0.7391 0.8356
P 0.0882 0.6908 0.6595
O 0.2121 0.0048 0.9237
V 0.0065 0.5625 0.2557
P 0.3271 0.3370 0.8714
O 0.9126 0.7408 0.3319
O 0.0167 0.2212 0.0641
P 0.7772 0.3054 0.8444
O 0.0838 0.6574 0.1638
P 0.6729 0.6630 0.1286
O 0.7871 0.2077 0.5683
O 0.6550 0.2609 0.1644
O 0.6160 0.9112 0.3263
O 0.9952 0.7879 0.5763
O 0.6687 0.6716 0.0230
V 0.4375 0.9935 0.2443
Li 0.9033 0.7641 0.0603
O 0.9918 0.2085 0.2440
O 0.5215 0.8136 0.1752
P 0.2228 0.6946 0.1556
O 0.5321 0.0870 0.1724
P 0.6908 0.0882 0.1595
O 0.0870 0.5321 0.6724
O 0.8191 0.6679 0.1700
O 0.0048 0.2121 0.4237
O 0.3313 0.3284 0.9770
O 0.9112 0.6160 0.8263
V 0.5625 0.0065 0.7557
Li 0.0000 0.0000 0.0000
O 0.7788 0.9833 0.4359
O 0.9833 0.7788 0.9359
O 0.5200 0.6671 0.6760
Li 0.7641 0.9033 0.5603
Li 0.0000 0.0000 0.5000
O 0.6679 0.8191 0.6700
O 0.4800 0.3329 0.3240
O 0.2609 0.6550 0.6644
O 0.2212 0.0167 0.5641
O 0.2085 0.9918 0.7440
O 0.5356 0.3818 0.6718
O 0.3284 0.3313 0.4770
O 0.4785 0.1864 0.8248
O 0.3321 0.1809 0.3300
Li 0.2359 0.0967 0.4397
O 0.7972 0.2028 0.7500
O 0.0082 0.7915 0.7560
O 0.9130 0.4679 0.3276
O 0.4679 0.9130 0.8276
O 0.0874 0.2592 0.6681
O 0.6671 0.5200 0.1760
O 0.3426 0.9162 0.3362
V 0.4372 0.5628 0.7500
O 0.8136 0.5215 0.6752
O 0.2592 0.0874 0.1681
O 0.1809 0.3321 0.8300
O 0.9162 0.3426 0.8362
O 0.7879 0.9952 0.0763
O 0.7923 0.2129 0.9317
O 0.2129 0.7923 0.4317
Li 0.0967 0.2359 0.9397
O 0.2077 0.7871 0.0683
P 0.9118 0.3092 0.3405
O 0.3329 0.4800 0.8240

Output
As for the space-group type: No. 15. The value obtained for the total moment is 0.001 Bohr magnetons per cell. The value obtained for the energy is -7.05 eV/atom. The relative energy among the computed polymorphs comes out at 39.4 kJ/mol of formula units.

=====

(5)
Compound: MnH6SO6
Source: the Materials Project
Functional: PBE+U
Structure: optimized geometry

a = 5.6746 Å, b = 9.6069 Å, c = 9.9240 Å
α = 90.00°, β = 90.00°, γ = 90.00°
Fractional coordinates of all 56 atoms:
O 0.2456 0.0140 0.1352
H 0.9873 0.0987 0.8697
Mn 0.2539 0.8095 0.7750
O 0.7576 0.8708 0.0887
O 0.9706 0.9240 0.8802
Mn 0.7539 0.6905 0.2250
S 0.7548 0.8421 0.9349
H 0.1036 0.9672 0.1013
H 0.0192 0.4008 0.1270
S 0.2452 0.3421 0.5651
H 0.5026 0.7637 0.4604
O 0.7456 0.4860 0.8648
O 0.4706 0.5760 0.1198
O 0.2424 0.3708 0.4113
O 0.0095 0.2028 0.8653
H 0.4974 0.2637 0.0396
O 0.5364 0.9238 0.8827
S 0.7452 0.1579 0.4349
O 0.9636 0.0762 0.3827
H 0.8819 0.5321 0.9058
O 0.5105 0.7026 0.6313
H 0.3163 0.2098 0.8513
O 0.9895 0.2974 0.1313
O 0.0105 0.7974 0.3687
H 0.6837 0.7098 0.6487
H 0.1181 0.0321 0.5942
O 0.9905 0.7028 0.6347
O 0.7544 0.5140 0.3648
O 0.4905 0.7972 0.3653
H 0.8163 0.2902 0.1487
H 0.9974 0.2363 0.9604
O 0.5095 0.2972 0.1347
H 0.3819 0.9679 0.0942
O 0.5294 0.0760 0.3802
H 0.9808 0.9008 0.3730
H 0.4808 0.5992 0.6270
H 0.6036 0.5328 0.8987
H 0.4873 0.4013 0.1303
O 0.0294 0.4240 0.6198
H 0.5192 0.0992 0.8730
H 0.8964 0.4672 0.3987
H 0.1837 0.7902 0.3513
H 0.0127 0.5987 0.6303
S 0.2548 0.6579 0.0651
Mn 0.7461 0.3095 0.7250
Mn 0.2461 0.1905 0.2750
H 0.6181 0.4679 0.4058
O 0.7424 0.1292 0.5887
H 0.0026 0.7363 0.5396
H 0.3964 0.0328 0.6013
O 0.0364 0.5762 0.1173
O 0.4895 0.2026 0.8687
O 0.4636 0.4238 0.6173
O 0.2544 0.9860 0.6352
O 0.2576 0.6292 0.9113
H 0.5127 0.9013 0.3697

Output
As for the space-group type: No. 19. The value obtained for the total moment is 20.003 Bohr magnetons per cell. The value obtained for the energy is -5.59 eV/atom. The relative energy among the computed polymorphs comes out at 1.5 kJ/mol of formula units.

=====

(6)
Compound: V2Zn2O7
Source: the Materials Project
Functional: PBE+U
Structure: optimized geometry

a = 5.0794 Å, b = 5.4230 Å, c = 5.4230 Å
α = 73.60°, β = 81.80°, γ = 98.20°
Fractional coordinates of all 11 atoms:
O 0.7059 0.3896 0.9453
O 0.2941 0.9453 0.3896
Zn 0.5000 0.6850 0.6850
O 0.2223 0.4285 0.5715
O 0.7059 0.0547 0.6104
O 0.2941 0.6104 0.0547
O 0.7777 0.5715 0.4285
V 0.8954 0.2432 0.7568
O 0.0000 0.0000 0.0000
V 0.1046 0.7568 0.2432
Zn 0.5000 0.3150 0.3150

Output
As for the space-group type: No. 12. The value obtained for the total moment is 0.000 Bohr magnetons per cell. The value obtained for the energy is -6.42 eV/atom. The relative energy among the computed polymorphs comes out at 32.7 kJ/mol of formula units.

=====

(7)
Compound: TiCoO3
Source: the Materials Project
Functional: PBE+U
Structure: optimized geometry

a = 5.1084 Å, b = 5.1086 Å, c = 9.8151 Å
α = 74.92°, β = 74.87°, γ = 59.94°
Fractional coordinates of all 20 atoms:
O 0.0804 0.3573 0.8692
O 0.3069 0.9197 0.1308
Ti 0.9279 0.9277 0.2163
Ti 0.0721 0.0723 0.7837
O 0.8070 0.4195 0.6308
O 0.8576 0.1930 0.3691
Co 0.1777 0.1773 0.4674
Co 0.6775 0.6776 0.9674
O 0.4198 0.1428 0.6307
O 0.3574 0.6930 0.8692
Co 0.8223 0.8227 0.5326
O 0.9196 0.6427 0.1308
O 0.1424 0.8070 0.6309
Ti 0.5722 0.5721 0.2837
Co 0.3225 0.3224 0.0326
Ti 0.4278 0.4279 0.7163
O 0.6931 0.0803 0.8692
O 0.1930 0.5805 0.3692
O 0.6426 0.3070 0.1308
O 0.5802 0.8572 0.3693

Output
The value obtained for the energy is -7.86 eV/atom.